No. 1
Entry from the Materials Project: PrRuO3 after structural relaxation (PBE).

Summary:
Corrected total energy (MP2020 scheme), eV/atom: -8.264
Magnetization, μB/cell: 4.0
Calculated volume, A^3/atom: 12.647
Space-group type: Pnma, No. 62
Formation enthalpy at 0 K, eV/f.u.: -12.42

abc: 5.987 7.852 5.381
angles: 90.00 90.00 90.00
Fractional coordinates of all 20 atoms:
Pr 0.075 0.250 0.027
Pr 0.425 0.750 0.527
Pr 0.575 0.250 0.473
Pr 0.925 0.750 0.973
Ru 0.000 0.000 0.500
Ru 0.000 0.500 0.500
Ru 0.500 0.000 0.000
Ru 0.500 0.500 0.000
O 0.037 0.750 0.394
O 0.197 0.551 0.816
O 0.197 0.949 0.816
O 0.303 0.051 0.316
O 0.303 0.449 0.316
O 0.463 0.250 0.894
O 0.537 0.750 0.106
O 0.697 0.551 0.684
O 0.697 0.949 0.684
O 0.803 0.051 0.184
O 0.803 0.449 0.184
O 0.963 0.250 0.606


No. 2
Entry from the Materials Project: SrPrZnRuO6 after structural relaxation (PBE).

Summary:
Corrected total energy (MP2020 scheme), eV/atom: -7.154
Magnetization, μB/cell: 6.0
Calculated volume, A^3/atom: 12.796
Space-group type: Pc, No. 7
Formation enthalpy at 0 K, eV/f.u.: -24.85

abc: 5.616 5.735 9.725
angles: 90.00 125.21 90.00
Fractional coordinates of all 20 atoms:
Sr 0.000 0.212 0.000
Sr 0.000 0.788 0.500
Pr 0.520 0.306 0.499
Pr 0.520 0.694 0.999
Zn 0.256 0.240 0.749
Zn 0.256 0.760 0.249
Ru 0.757 0.248 0.251
Ru 0.757 0.752 0.751
O 0.093 0.234 0.493
O 0.093 0.766 0.993
O 0.444 0.275 0.008
O 0.444 0.725 0.508
O 0.514 0.055 0.296
O 0.514 0.945 0.796
O 0.590 0.477 0.793
O 0.590 0.523 0.293
O 0.900 0.039 0.704
O 0.900 0.961 0.204
O 0.992 0.460 0.211
O 0.992 0.540 0.711


No. 3
Entry from the Materials Project: PrSO after structural relaxation (PBE).

Summary:
Corrected total energy (MP2020 scheme), eV/atom: -7.545
Calculated volume, A^3/atom: 19.120
Space-group type: Cmce, No. 64
Formation enthalpy at 0 K, eV/f.u.: -8.77

abc: 7.212 7.212 5.902
angles: 90.00 90.00 48.35
Fractional coordinates of all 12 atoms:
Pr 0.161 0.161 0.000
Pr 0.339 0.339 0.500
Pr 0.661 0.661 0.500
Pr 0.839 0.839 0.000
S 0.127 0.873 0.627
S 0.373 0.627 0.127
S 0.627 0.373 0.873
S 0.873 0.127 0.373
O 0.004 0.496 0.750
O 0.496 0.004 0.250
O 0.504 0.996 0.750
O 0.996 0.504 0.250


No. 4
Entry from the Materials Project: Pr2S2O after structural relaxation (PBE).

Summary:
Corrected total energy (MP2020 scheme), eV/atom: -7.438
Calculated volume, A^3/atom: 22.303
Space-group type: P2_1/c, No. 14
Formation enthalpy at 0 K, eV/f.u.: -14.41

abc: 8.637 7.279 7.176
angles: 90.00 98.62 90.00
Fractional coordinates of all 20 atoms:
Pr 0.079 0.139 0.315
Pr 0.079 0.361 0.815
Pr 0.364 0.556 0.247
Pr 0.364 0.944 0.747
Pr 0.636 0.056 0.253
Pr 0.636 0.444 0.753
Pr 0.921 0.639 0.185
Pr 0.921 0.861 0.685
S 0.179 0.640 0.568
S 0.179 0.860 0.068
S 0.421 0.225 0.472
S 0.421 0.275 0.972
S 0.579 0.725 0.028
S 0.579 0.775 0.528
S 0.821 0.140 0.932
S 0.821 0.360 0.432
O 0.118 0.085 0.648
O 0.118 0.415 0.148
O 0.882 0.585 0.852
O 0.882 0.915 0.352


No. 5
Entry from the Materials Project: Pr2S3O20 after structural relaxation (PBE).

Summary:
Corrected total energy (MP2020 scheme), eV/atom: -5.935
Magnetization, μB/cell: 20.0
Calculated volume, A^3/atom: 15.336
Space-group type: Cc, No. 9
Formation enthalpy at 0 K, eV/f.u.: -27.45

abc: 6.568 6.568 20.267
angles: 93.31 93.31 61.52
Fractional coordinates of all 50 atoms:
Pr 0.002 0.998 0.500
Pr 0.298 0.311 0.767
Pr 0.311 0.298 0.267
Pr 0.998 0.002 0.000
S 0.331 0.338 0.960
S 0.338 0.331 0.460
S 0.477 0.821 0.136
S 0.821 0.477 0.636
S 0.960 0.971 0.808
S 0.971 0.960 0.308
O 0.014 0.790 0.598
O 0.014 0.977 0.380
O 0.021 0.447 0.679
O 0.056 0.101 0.772
O 0.069 0.715 0.285
O 0.089 0.722 0.791
O 0.101 0.056 0.272
O 0.206 0.587 0.981
O 0.214 0.215 0.487
O 0.215 0.214 0.987
O 0.235 0.576 0.485
O 0.256 0.887 0.096
O 0.266 0.513 0.167
O 0.296 0.995 0.587
O 0.312 0.322 0.387
O 0.322 0.312 0.887
O 0.413 0.912 0.794
O 0.447 0.021 0.179
O 0.513 0.266 0.667
O 0.514 0.620 0.348
O 0.525 0.800 0.343
O 0.531 0.617 0.176
O 0.547 0.730 0.936
O 0.576 0.235 0.985
O 0.587 0.206 0.481
O 0.617 0.531 0.676
O 0.620 0.514 0.848
O 0.670 0.754 0.089
O 0.715 0.069 0.785
O 0.722 0.089 0.291
O 0.728 0.740 0.930
O 0.730 0.547 0.436
O 0.740 0.728 0.430
O 0.754 0.670 0.589
O 0.790 0.014 0.098
O 0.800 0.525 0.843
O 0.887 0.256 0.596
O 0.912 0.413 0.294
O 0.977 0.014 0.880
O 0.995 0.296 0.087


No. 6
Entry from the Materials Project: PrSO after structural relaxation (PBE).

Summary:
Corrected total energy (MP2020 scheme), eV/atom: -7.479
Magnetization, μB/cell: 0.0
Calculated volume, A^3/atom: 19.056
Space-group type: C2/m, No. 12
Formation enthalpy at 0 K, eV/f.u.: -8.57

abc: 5.747 5.764 7.036
angles: 90.00 101.14 90.00
Fractional coordinates of all 12 atoms:
Pr 0.218 0.000 0.323
Pr 0.282 0.500 0.677
Pr 0.718 0.500 0.323
Pr 0.782 0.000 0.677
S 0.145 0.500 0.116
S 0.355 0.000 0.884
S 0.645 0.000 0.116
S 0.855 0.500 0.884
O 0.000 0.244 0.500
O 0.000 0.756 0.500
O 0.500 0.256 0.500
O 0.500 0.744 0.500


No. 7
Entry from the Materials Project: Pr2S3O20 after structural relaxation (PBE).

Summary:
Corrected total energy (MP2020 scheme), eV/atom: -5.902
Magnetization, μB/cell: 24.0
Calculated volume, A^3/atom: 16.161
Space-group type: C2/c, No. 15
Formation enthalpy at 0 K, eV/f.u.: -26.62

abc: 7.396 7.396 18.242
angles: 95.26 95.26 54.51
Fractional coordinates of all 50 atoms:
Pr 0.153 0.194 0.384
Pr 0.194 0.153 0.884
Pr 0.806 0.847 0.116
Pr 0.847 0.806 0.616
S 0.167 0.226 0.089
S 0.226 0.167 0.589
S 0.326 0.674 0.750
S 0.674 0.326 0.250
S 0.774 0.833 0.411
S 0.833 0.774 0.911
O 0.067 0.163 0.139
O 0.073 0.414 0.592
O 0.087 0.227 0.011
O 0.098 0.455 0.114
O 0.120 0.722 0.710
O 0.156 0.829 0.123
O 0.163 0.067 0.639
O 0.171 0.844 0.377
O 0.227 0.087 0.511
O 0.247 0.640 0.537
O 0.248 0.334 0.792
O 0.278 0.880 0.790
O 0.332 0.474 0.495
O 0.334 0.248 0.292
O 0.360 0.753 0.963
O 0.407 0.500 0.805
O 0.414 0.073 0.092
O 0.455 0.098 0.614
O 0.474 0.332 0.995
O 0.500 0.407 0.305
O 0.500 0.593 0.695
O 0.526 0.668 0.005
O 0.545 0.902 0.386
O 0.586 0.927 0.908
O 0.593 0.500 0.195
O 0.640 0.247 0.037
O 0.666 0.752 0.708
O 0.668 0.526 0.505
O 0.722 0.120 0.210
O 0.752 0.666 0.208
O 0.753 0.360 0.463
O 0.773 0.913 0.489
O 0.829 0.156 0.623
O 0.837 0.933 0.361
O 0.844 0.171 0.877
O 0.880 0.278 0.290
O 0.902 0.545 0.886
O 0.913 0.773 0.989
O 0.927 0.586 0.408
O 0.933 0.837 0.861


No. 8
Entry from the Materials Project: Pr2S3O20 after structural relaxation (PBE).

Summary:
Corrected total energy (MP2020 scheme), eV/atom: -5.968
Magnetization, μB/cell: 20.0
Calculated volume, A^3/atom: 17.268
Space-group type: Cc, No. 9
Formation enthalpy at 0 K, eV/f.u.: -28.27

abc: 7.532 7.532 19.515
angles: 99.82 99.82 52.59
Fractional coordinates of all 50 atoms:
Pr 0.013 0.987 0.500
Pr 0.686 0.721 0.722
Pr 0.721 0.686 0.222
Pr 0.987 0.013 0.000
S 0.032 0.093 0.699
S 0.093 0.032 0.199
S 0.143 0.523 0.373
S 0.523 0.143 0.873
S 0.634 0.644 0.033
S 0.644 0.634 0.533
O 0.022 0.671 0.006
O 0.043 0.144 0.410
O 0.046 0.921 0.240
O 0.057 0.983 0.123
O 0.129 0.578 0.510
O 0.138 0.452 0.138
O 0.144 0.043 0.910
O 0.152 0.713 0.397
O 0.165 0.430 0.458
O 0.222 0.278 0.099
O 0.278 0.222 0.599
O 0.280 0.958 0.715
O 0.324 0.333 0.841
O 0.333 0.324 0.341
O 0.337 0.937 0.217
O 0.392 0.749 0.012
O 0.402 0.753 0.540
O 0.412 0.491 0.728
O 0.430 0.165 0.958
O 0.452 0.138 0.638
O 0.491 0.412 0.228
O 0.502 0.548 0.776
O 0.548 0.502 0.276
O 0.578 0.129 0.010
O 0.593 0.921 0.841
O 0.660 0.748 0.102
O 0.671 0.022 0.506
O 0.679 0.722 0.478
O 0.713 0.152 0.897
O 0.722 0.679 0.978
O 0.728 0.991 0.266
O 0.748 0.660 0.602
O 0.749 0.392 0.512
O 0.753 0.402 0.040
O 0.921 0.046 0.740
O 0.921 0.593 0.341
O 0.937 0.337 0.717
O 0.958 0.280 0.215
O 0.983 0.057 0.623
O 0.991 0.728 0.766


No. 9
Entry from the Materials Project: Pr10S14O after structural relaxation (PBE).

Summary:
Corrected total energy (MP2020 scheme), eV/atom: -6.889
Magnetization, μB/cell: 0.0
Calculated volume, A^3/atom: 23.558
Space-group type: I4_1/acd, No. 142
Formation enthalpy at 0 K, eV/f.u.: -61.57

abc: 14.790 14.790 14.790
angles: 117.88 117.88 93.71
Fractional coordinates of all 100 atoms:
Pr 0.010 0.760 0.519
Pr 0.019 0.419 0.345
Pr 0.074 0.919 0.900
Pr 0.075 0.199 0.889
Pr 0.081 0.481 0.155
Pr 0.175 0.074 0.655
Pr 0.186 0.075 0.376
Pr 0.190 0.814 0.389
Pr 0.199 0.810 0.124
Pr 0.240 0.260 0.250
Pr 0.260 0.510 0.019
Pr 0.301 0.425 0.611
Pr 0.310 0.699 0.624
Pr 0.314 0.690 0.889
Pr 0.325 0.981 0.900
Pr 0.419 0.574 0.400
Pr 0.425 0.314 0.124
Pr 0.426 0.325 0.845
Pr 0.481 0.825 0.400
Pr 0.490 0.010 0.750
Pr 0.510 0.990 0.250
Pr 0.519 0.175 0.600
Pr 0.574 0.675 0.155
Pr 0.575 0.686 0.876
Pr 0.581 0.426 0.600
Pr 0.675 0.019 0.100
Pr 0.686 0.310 0.111
Pr 0.690 0.301 0.376
Pr 0.699 0.575 0.389
Pr 0.740 0.490 0.981
Pr 0.760 0.740 0.750
Pr 0.801 0.190 0.876
Pr 0.810 0.186 0.611
Pr 0.814 0.925 0.624
Pr 0.825 0.926 0.345
Pr 0.919 0.519 0.845
Pr 0.925 0.801 0.111
Pr 0.926 0.081 0.100
Pr 0.981 0.581 0.655
Pr 0.990 0.240 0.481
S 0.021 0.250 0.084
S 0.021 0.880 0.407
S 0.028 0.386 0.907
S 0.064 0.979 0.730
S 0.101 0.633 0.391
S 0.102 0.250 0.352
S 0.114 0.472 0.593
S 0.120 0.028 0.142
S 0.133 0.601 0.891
S 0.166 0.750 0.730
S 0.210 0.242 0.609
S 0.242 0.133 0.033
S 0.250 0.398 0.148
S 0.250 0.479 0.416
S 0.250 0.666 0.230
S 0.250 0.898 0.648
S 0.258 0.290 0.891
S 0.290 0.899 0.033
S 0.334 0.064 0.584
S 0.367 0.258 0.467
S 0.380 0.521 0.907
S 0.386 0.979 0.358
S 0.398 0.750 0.148
S 0.399 0.790 0.533
S 0.436 0.166 0.916
S 0.472 0.380 0.358
S 0.479 0.564 0.230
S 0.479 0.886 0.858
S 0.521 0.114 0.142
S 0.521 0.436 0.770
S 0.528 0.620 0.642
S 0.564 0.834 0.084
S 0.601 0.210 0.467
S 0.602 0.250 0.852
S 0.614 0.021 0.642
S 0.620 0.479 0.093
S 0.633 0.742 0.533
S 0.666 0.936 0.416
S 0.710 0.101 0.967
S 0.742 0.710 0.109
S 0.750 0.102 0.352
S 0.750 0.334 0.770
S 0.750 0.521 0.584
S 0.750 0.602 0.852
S 0.758 0.867 0.967
S 0.790 0.758 0.391
S 0.834 0.250 0.270
S 0.867 0.399 0.109
S 0.880 0.972 0.858
S 0.886 0.528 0.407
S 0.898 0.750 0.648
S 0.899 0.367 0.609
S 0.936 0.021 0.270
S 0.972 0.614 0.093
S 0.979 0.120 0.593
S 0.979 0.750 0.916
O 0.125 0.875 0.250
O 0.375 0.625 0.750
O 0.625 0.375 0.250
O 0.875 0.125 0.750


No. 10
Entry from the Materials Project: Pr2S3O20 after structural relaxation (PBE).

Summary:
Corrected total energy (MP2020 scheme), eV/atom: -6.043
Magnetization, μB/cell: 32.0
Calculated volume, A^3/atom: 15.359
Space-group type: C2/c, No. 15
Formation enthalpy at 0 K, eV/f.u.: -30.14

abc: 6.553 6.553 20.019
angles: 94.69 94.69 63.84
Fractional coordinates of all 50 atoms:
Pr 0.146 0.170 0.389
Pr 0.170 0.146 0.889
Pr 0.830 0.854 0.111
Pr 0.854 0.830 0.611
S 0.179 0.211 0.080
S 0.211 0.179 0.580
S 0.237 0.763 0.750
S 0.763 0.237 0.250
S 0.789 0.821 0.420
S 0.821 0.789 0.920
O 0.009 0.783 0.725
O 0.073 0.094 0.117
O 0.075 0.455 0.101
O 0.094 0.073 0.617
O 0.111 0.426 0.599
O 0.140 0.178 0.007
O 0.178 0.140 0.507
O 0.217 0.991 0.775
O 0.248 0.427 0.322
O 0.284 0.698 0.371
O 0.298 0.685 0.582
O 0.302 0.716 0.129
O 0.315 0.702 0.918
O 0.339 0.608 0.807
O 0.350 0.426 0.429
O 0.392 0.661 0.693
O 0.426 0.111 0.099
O 0.426 0.350 0.929
O 0.427 0.248 0.822
O 0.455 0.075 0.601
O 0.545 0.925 0.399
O 0.573 0.752 0.178
O 0.574 0.650 0.071
O 0.574 0.889 0.901
O 0.608 0.339 0.307
O 0.650 0.574 0.571
O 0.661 0.392 0.193
O 0.685 0.298 0.082
O 0.698 0.284 0.871
O 0.702 0.315 0.418
O 0.716 0.302 0.629
O 0.752 0.573 0.678
O 0.783 0.009 0.225
O 0.822 0.860 0.493
O 0.860 0.822 0.993
O 0.889 0.574 0.401
O 0.906 0.927 0.383
O 0.925 0.545 0.899
O 0.927 0.906 0.883
O 0.991 0.217 0.275


Among the records above, which one has the lowest calculated volume?
PrRuO3


Copy entry 1 word for word.
Entry from the Materials Project: PrRuO3 after structural relaxation (PBE).

Summary:
Corrected total energy (MP2020 scheme), eV/atom: -8.264
Magnetization, μB/cell: 4.0
Calculated volume, A^3/atom: 12.647
Space-group type: Pnma, No. 62
Formation enthalpy at 0 K, eV/f.u.: -12.42

abc: 5.987 7.852 5.381
angles: 90.00 90.00 90.00
Fractional coordinates of all 20 atoms:
Pr 0.075 0.250 0.027
Pr 0.425 0.750 0.527
Pr 0.575 0.250 0.473
Pr 0.925 0.750 0.973
Ru 0.000 0.000 0.500
Ru 0.000 0.500 0.500
Ru 0.500 0.000 0.000
Ru 0.500 0.500 0.000
O 0.037 0.750 0.394
O 0.197 0.551 0.816
O 0.197 0.949 0.816
O 0.303 0.051 0.316
O 0.303 0.449 0.316
O 0.463 0.250 0.894
O 0.537 0.750 0.106
O 0.697 0.551 0.684
O 0.697 0.949 0.684
O 0.803 0.051 0.184
O 0.803 0.449 0.184
O 0.963 0.250 0.606


Look up the formation enthalpy at 0 K of the second one.
-24.85 eV/f.u.


Look up the calculated volume of the fourth one.
22.303 A^3/atom